(1)
A relaxed Ba3CaZrWO9 crystal. Source: the Materials Project database, functional PBE+U.

Properties
Space-group type   P3m1 (156)
Calculated formation energy   -4428.3 kJ/mol of formula units

a = 6.0326 Å, b = 6.0326 Å, c = 45.2828 Å
α = 90.00°, β = 90.00°, γ = 120.00°
Sites, in units of the cell vectors:
Ba1 0.0000 0.0000 0.0000
Ba2 0.0000 0.0000 0.1615
Ba3 0.0000 0.0000 0.3293
Ba4 0.0000 0.0000 0.4967
Ba5 0.0000 0.0000 0.6631
Ba6 0.0000 0.0000 0.8298
Ba7 0.3333 0.6667 0.1066
Ba8 0.3333 0.6667 0.2749
Ba9 0.3333 0.6667 0.4438
Ba10 0.3333 0.6667 0.6080
Ba11 0.3333 0.6667 0.7703
Ba12 0.3333 0.6667 0.9458
Ba13 0.6667 0.3333 0.0535
Ba14 0.6667 0.3333 0.2168
Ba15 0.6667 0.3333 0.3877
Ba16 0.6667 0.3333 0.5521
Ba17 0.6667 0.3333 0.7151
Ba18 0.6667 0.3333 0.8848
Ca1 0.0000 0.0000 0.4091
Ca2 0.0000 0.0000 0.7498
Ca3 0.3333 0.6667 0.5229
Ca4 0.3333 0.6667 0.8607
Ca5 0.6667 0.3333 0.2983
Ca6 0.6667 0.3333 0.6368
Zr1 0.0000 0.0000 0.0800
Zr2 0.0000 0.0000 0.5799
Zr3 0.3333 0.6667 0.1882
Zr4 0.3333 0.6667 0.6936
Zr5 0.6667 0.3333 0.4666
Zr6 0.6667 0.3333 0.9735
W1 0.0000 0.0000 0.2407
W2 0.0000 0.0000 0.9197
W3 0.3333 0.6667 0.0269
W4 0.3333 0.6667 0.3515
W5 0.6667 0.3333 0.1335
W6 0.6667 0.3333 0.8083
O1 0.0057 0.5028 0.6676
O2 0.0327 0.5163 0.3234
O3 0.1548 0.3095 0.8986
O4 0.1548 0.8452 0.8986
O5 0.1612 0.3223 0.5525
O6 0.1612 0.8388 0.5525
O7 0.1643 0.3287 0.2107
O8 0.1643 0.8357 0.2107
O9 0.1690 0.3381 0.0535
O10 0.1690 0.8310 0.0535
O11 0.1755 0.3510 0.7238
O12 0.1755 0.8245 0.7238
O13 0.1770 0.3540 0.3740
O14 0.1770 0.8230 0.3740
O15 0.3180 0.1590 0.9483
O16 0.3217 0.1609 0.2612
O17 0.3221 0.1611 0.6071
O18 0.3448 0.1724 0.1072
O19 0.3497 0.1748 0.4364
O20 0.3543 0.1771 0.7866
O21 0.4837 0.5163 0.3234
O22 0.4837 0.9673 0.3234
O23 0.4972 0.5028 0.6676
O24 0.4972 0.9943 0.6676
O25 0.5026 0.0051 0.1567
O26 0.5029 0.0058 0.4921
O27 0.5026 0.4974 0.1567
O28 0.5029 0.4971 0.4921
O29 0.5045 0.0091 0.0010
O30 0.5045 0.4955 0.0010
O31 0.5173 0.0346 0.8373
O32 0.5173 0.4827 0.8373
O33 0.6460 0.8230 0.3740
O34 0.6490 0.8245 0.7238
O35 0.6619 0.8310 0.0535
O36 0.6713 0.8357 0.2107
O37 0.6777 0.8388 0.5525
O38 0.6905 0.8452 0.8986
O39 0.8229 0.1771 0.7866
O40 0.8229 0.6457 0.7866
O41 0.8252 0.1748 0.4364
O42 0.8252 0.6503 0.4364
O43 0.8276 0.1724 0.1072
O44 0.8276 0.6552 0.1072
O45 0.8391 0.1609 0.2612
O46 0.8389 0.1611 0.6071
O47 0.8391 0.6783 0.2612
O48 0.8389 0.6779 0.6071
O49 0.8410 0.1590 0.9483
O50 0.8410 0.6820 0.9483
O51 0.9654 0.4827 0.8373
O52 0.9909 0.4955 0.0010
O53 0.9942 0.4971 0.4921
O54 0.9949 0.4974 0.1567

=====

(2)
A relaxed MgMn5O8 crystal. Source: the Materials Project database, functional PBE+U.

Properties
E above lowest polymorph   10.9 kJ/mol of atoms
Space-group type   P1 (1)
Calculated formation energy   -2787.6 kJ/mol of formula units

a = 5.3464 Å, b = 5.8658 Å, c = 6.3728 Å
α = 116.11°, β = 109.61°, γ = 90.78°
Sites, in units of the cell vectors:
Mg1 0.0000 0.0000 0.0000
Mn1 0.0033 0.5148 0.0304
Mn2 0.2176 0.7816 0.5517
Mn3 0.5171 0.2822 0.0624
Mn4 0.5230 0.7853 0.0678
Mn5 0.9992 0.2625 0.5238
O1 0.0690 0.6276 0.7905
O2 0.0807 0.1506 0.7841
O3 0.3906 0.6145 0.2319
O4 0.4314 0.1141 0.2329
O5 0.5837 0.9335 0.8569
O6 0.6149 0.4489 0.8854
O7 0.9685 0.3820 0.2722
O8 0.9680 0.9051 0.2774

=====

(3)
A relaxed Li9Mn2Co5O16 crystal. Source: the Materials Project database, functional PBE+U.

Properties
E above lowest polymorph   3.1 kJ/mol of atoms
Space-group type   Cm (8)
Calculated formation energy   -5655.9 kJ/mol of formula units

a = 5.9379 Å, b = 5.9379 Å, c = 9.7081 Å
α = 98.25°, β = 98.25°, γ = 58.47°
Sites, in units of the cell vectors:
Li1 0.0000 0.0000 0.0000
Li2 0.1283 0.6265 0.7316
Li3 0.2522 0.2522 0.4919
Li4 0.3823 0.8851 0.2576
Li5 0.5010 0.5010 0.9966
Li6 0.6265 0.1283 0.7316
Li7 0.7538 0.7538 0.4880
Li8 0.8821 0.8821 0.2465
Li9 0.8851 0.3823 0.2576
Mn1 0.0021 0.5026 0.9976
Mn2 0.5026 0.0021 0.9976
Co1 0.1252 0.1252 0.7381
Co2 0.2478 0.7516 0.4831
Co3 0.3803 0.3803 0.2460
Co4 0.6233 0.6233 0.7372
Co5 0.7516 0.2478 0.4831
O1 0.0680 0.0680 0.3772
O2 0.0983 0.5638 0.3687
O3 0.1825 0.6532 0.1158
O4 0.1890 0.1890 0.1037
O5 0.3039 0.3039 0.8797
O6 0.3332 0.8298 0.8696
O7 0.4355 0.9317 0.6242
O8 0.4495 0.4495 0.6188
O9 0.5638 0.0983 0.3687
O10 0.5697 0.5697 0.3703
O11 0.6532 0.1825 0.1158
O12 0.6939 0.6939 0.1041
O13 0.8097 0.8097 0.8862
O14 0.8298 0.3332 0.8696
O15 0.9317 0.4355 0.6242
O16 0.9489 0.9489 0.6164

=====

(4)
A relaxed MoO2 crystal. Source: the Materials Project database, functional PBE+U.

Properties
Space-group type   P2_1/c (14)
Calculated formation energy   -584.7 kJ/mol of formula units

a = 5.7257 Å, b = 4.8281 Å, c = 5.7569 Å
α = 90.00°, β = 112.95°, γ = 90.00°
Sites, in units of the cell vectors:
Mo1 0.2497 0.9999 0.2493
Mo2 0.2497 0.5001 0.7493
Mo3 0.7503 0.0001 0.7507
Mo4 0.7503 0.4999 0.2507
O1 0.1037 0.1949 0.8924
O2 0.1037 0.3051 0.3924
O3 0.3963 0.6959 0.1057
O4 0.3963 0.8041 0.6057
O5 0.6037 0.1959 0.3943
O6 0.6037 0.3041 0.8943
O7 0.8963 0.6949 0.6076
O8 0.8963 0.8051 0.1076

=====

(5)
A relaxed Li3FeF6 crystal. Source: the Materials Project database, functional PBE+U.

Properties
E above lowest polymorph   0.0 kJ/mol of atoms
Space-group type   C2/c (15)
Calculated formation energy   -2878.6 kJ/mol of formula units

a = 8.5728 Å, b = 8.5728 Å, c = 10.2587 Å
α = 94.03°, β = 94.03°, γ = 61.72°
Sites, in units of the cell vectors:
Li1 0.0056 0.7135 0.2306
Li2 0.0588 0.3451 0.4321
Li3 0.1199 0.5454 0.9495
Li4 0.1904 0.8096 0.7500
Li5 0.2865 0.9944 0.2694
Li6 0.3267 0.6271 0.4615
Li7 0.3451 0.0588 0.9321
Li8 0.3729 0.6733 0.0385
Li9 0.4546 0.8801 0.5505
Li10 0.5454 0.1199 0.4495
Li11 0.6271 0.3267 0.9615
Li12 0.6549 0.9412 0.0679
Li13 0.6733 0.3729 0.5385
Li14 0.7135 0.0056 0.7306
Li15 0.8096 0.1904 0.2500
Li16 0.8801 0.4546 0.0505
Li17 0.9412 0.6549 0.5679
Li18 0.9944 0.2865 0.7694
Fe1 0.0000 0.0000 0.0000
Fe2 0.0000 0.0000 0.5000
Fe3 0.3348 0.3400 0.7045
Fe4 0.3400 0.3348 0.2045
Fe5 0.6600 0.6652 0.7955
Fe6 0.6652 0.6600 0.2955
F1 0.0655 0.0781 0.1665
F2 0.0781 0.0655 0.6665
F3 0.0863 0.7596 0.0633
F4 0.0942 0.7601 0.5664
F5 0.1062 0.4154 0.6062
F6 0.1083 0.4310 0.1099
F7 0.2265 0.2657 0.8365
F8 0.2384 0.5592 0.3064
F9 0.2399 0.9058 0.9336
F10 0.2404 0.9137 0.4367
F11 0.2449 0.5663 0.8048
F12 0.2657 0.2265 0.3365
F13 0.4142 0.4302 0.0668
F14 0.4154 0.1062 0.1062
F15 0.4302 0.4142 0.5668
F16 0.4310 0.1083 0.6099
F17 0.4337 0.7551 0.6952
F18 0.4408 0.7616 0.1936
F19 0.5592 0.2384 0.8064
F20 0.5663 0.2449 0.3048
F21 0.5690 0.8917 0.3901
F22 0.5698 0.5858 0.4332
F23 0.5846 0.8938 0.8938
F24 0.5858 0.5698 0.9332
F25 0.7343 0.7735 0.6635
F26 0.7551 0.4337 0.1952
F27 0.7596 0.0863 0.5633
F28 0.7601 0.0942 0.0664
F29 0.7616 0.4408 0.6936
F30 0.7735 0.7343 0.1635
F31 0.8917 0.5690 0.8901
F32 0.8938 0.5846 0.3938
F33 0.9058 0.2399 0.4336
F34 0.9137 0.2404 0.9367
F35 0.9219 0.9345 0.3335
F36 0.9345 0.9219 0.8335

=====

(6)
A relaxed LiCoSbO4 crystal. Source: the Materials Project database, functional PBE+U.

Properties
E above lowest polymorph   1.4 kJ/mol of atoms
Space-group type   P4_322 (95)
Calculated formation energy   -1271.5 kJ/mol of formula units

a = 6.1372 Å, b = 6.1372 Å, c = 8.5878 Å
α = 90.00°, β = 90.00°, γ = 90.00°
Sites, in units of the cell vectors:
Li1 0.0000 0.2087 0.0000
Li2 0.0000 0.7913 0.5000
Li3 0.2087 0.0000 0.2500
Li4 0.7913 0.0000 0.7500
Co1 0.2519 0.2519 0.6250
Co2 0.2519 0.7481 0.8750
Co3 0.7481 0.2519 0.3750
Co4 0.7481 0.7481 0.1250
Sb1 0.2272 0.5000 0.2500
Sb2 0.5000 0.2272 0.0000
Sb3 0.5000 0.7728 0.5000
Sb4 0.7728 0.5000 0.7500
O1 0.0170 0.2615 0.2516
O2 0.0170 0.7385 0.2484
O3 0.2615 0.0170 0.9984
O4 0.2615 0.9830 0.5016
O5 0.2680 0.4772 0.0142
O6 0.2680 0.5228 0.4858
O7 0.4772 0.2680 0.2358
O8 0.4772 0.7320 0.2642
O9 0.5228 0.2680 0.7642
O10 0.5228 0.7320 0.7358
O11 0.7320 0.4772 0.9858
O12 0.7320 0.5228 0.5142
O13 0.7385 0.0170 0.0016
O14 0.7385 0.9830 0.4984
O15 0.9830 0.2615 0.7484
O16 0.9830 0.7385 0.7516

=====

(7)
A relaxed TaZn2WO6 crystal. Source: the Materials Project database, functional PBE+U.

Properties
E above lowest polymorph   0.0 kJ/mol of atoms
Space-group type   P2_1/m (11)
Calculated formation energy   -2124.4 kJ/mol of formula units

a = 5.3864 Å, b = 7.8654 Å, c = 5.4194 Å
α = 90.00°, β = 91.82°, γ = 90.00°
Sites, in units of the cell vectors:
Ta1 0.0000 0.0000 0.0000
Ta2 0.0000 0.5000 0.0000
Zn1 0.0278 0.2500 0.5035
Zn2 0.4884 0.7500 0.0272
Zn3 0.5116 0.2500 0.9728
Zn4 0.9722 0.7500 0.4965
W1 0.5000 0.0000 0.5000
W2 0.5000 0.5000 0.5000
O1 0.0759 0.7500 0.1222
O2 0.1594 0.5654 0.6870
O3 0.1594 0.9346 0.6870
O4 0.3218 0.0673 0.1503
O5 0.3218 0.4327 0.1503
O6 0.3930 0.2500 0.6183
O7 0.6070 0.7500 0.3817
O8 0.6782 0.5673 0.8497
O9 0.6782 0.9327 0.8497
O10 0.8406 0.0654 0.3130
O11 0.8406 0.4346 0.3130
O12 0.9241 0.2500 0.8778

=====

(8)
A relaxed V2CdO10 crystal. Source: the Materials Project database, functional PBE+U.

Properties
E above lowest polymorph   1.5 kJ/mol of atoms
Space-group type   Cc (9)
Calculated formation energy   -1560.4 kJ/mol of formula units

a = 8.4941 Å, b = 8.4941 Å, c = 7.0008 Å
α = 109.27°, β = 109.27°, γ = 75.94°
Sites, in units of the cell vectors:
V1 0.0323 0.9677 0.5000
V2 0.1805 0.2466 0.9075
V3 0.2466 0.1805 0.4075
V4 0.9677 0.0323 0.0000
Cd1 0.1044 0.6054 0.7000
Cd2 0.6054 0.1044 0.2000
O1 0.0058 0.0880 0.7741
O2 0.0875 0.4405 0.8867
O3 0.0880 0.0058 0.2741
O4 0.1230 0.7724 0.5172
O5 0.1250 0.2091 0.1344
O6 0.2091 0.1250 0.6344
O7 0.2520 0.3882 0.5380
O8 0.3882 0.2520 0.0380
O9 0.4120 0.6964 0.9253
O10 0.4405 0.0875 0.3867
O11 0.4897 0.6124 0.4323
O12 0.5143 0.7935 0.9693
O13 0.5850 0.7144 0.4791
O14 0.6124 0.4897 0.9323
O15 0.6964 0.4120 0.4253
O16 0.7144 0.5850 0.9791
O17 0.7724 0.1230 0.0172
O18 0.7935 0.5143 0.4693
O19 0.8243 0.9649 0.3708
O20 0.9649 0.8243 0.8708